# YV6Sn6

An optimized crystal structure of YV6Sn6 (PBE, the Materials Project).

a = 5.5185 Å, b = 5.5185 Å, c = 9.2308 Å
α = 90.00°, β = 90.00°, γ = 120.00°
With the nearest neighbours (Å) after each atom.
Sites, in units of the cell vectors:
Y (0.0000, 0.0000, 0.0000)  8 Sn 3.06-3.19
V (0.0000, 0.5000, 0.2488)  4 V 2.76, 6 Sn 2.80-2.86
V (0.0000, 0.5000, 0.7512)  4 V 2.76, 6 Sn 2.80-2.86
V (0.5000, 0.0000, 0.2488)  4 V 2.76, 6 Sn 2.80-2.86
V (0.5000, 0.0000, 0.7512)  4 V 2.76, 6 Sn 2.80-2.86
V (0.5000, 0.5000, 0.2488)  4 V 2.76, 6 Sn 2.80-2.86
V (0.5000, 0.5000, 0.7512)  4 V 2.76, 6 Sn 2.80-2.86
Sn (0.0000, 0.0000, 0.3317)  6 V 2.86, 1 Y 3.06, 1 Sn 3.11
Sn (0.0000, 0.0000, 0.6683)  6 V 2.86, 1 Y 3.06, 1 Sn 3.11
Sn (0.3333, 0.6667, 0.0000)  6 V 2.80
Sn (0.3333, 0.6667, 0.5000)  6 V 2.81
Sn (0.6667, 0.3333, 0.0000)  6 V 2.80
Sn (0.6667, 0.3333, 0.5000)  6 V 2.81

Computed properties:
- final energy (eV/atom) = -6.77


# YSn

An optimized crystal structure of YSn (PBE, the Materials Project).

a = 3.8003 Å, b = 3.8003 Å, c = 3.8003 Å
α = 90.00°, β = 90.00°, γ = 90.00°
With the nearest neighbours (Å) after each atom.
Sites, in units of the cell vectors:
Y (0.0000, 0.0000, 0.0000)  8 Sn 3.29
Sn (0.5000, 0.5000, 0.5000)  8 Y 3.29

Computed properties:
- magnetic moment (μB per atom) = 0.006
- final energy (eV/atom) = -5.82


# YSn2

An optimized crystal structure of YSn2 (PBE, the Materials Project).

a = 8.5076 Å, b = 8.5076 Å, c = 4.3738 Å
α = 90.00°, β = 90.00°, γ = 149.75°
With the nearest neighbours (Å) after each atom.
Sites, in units of the cell vectors:
Y (0.0989, 0.9011, 0.7500)  10 Sn 3.17-3.47
Y (0.9011, 0.0989, 0.2500)  10 Sn 3.17-3.47
Sn (0.2511, 0.7489, 0.2500)  4 Sn 3.12, 4 Y 3.32
Sn (0.4366, 0.5634, 0.7500)  2 Sn 3.02, 4 Y 3.17
Sn (0.5634, 0.4366, 0.2500)  2 Sn 3.02, 4 Y 3.17
Sn (0.7489, 0.2511, 0.7500)  4 Sn 3.12, 4 Y 3.32

Computed properties:
- final energy (eV/atom) = -5.44


# Y11Sn10

An optimized crystal structure of Y11Sn10 (PBE, the Materials Project).

a = 11.8862 Å, b = 11.8862 Å, c = 11.8862 Å
α = 121.18°, β = 121.18°, γ = 87.96°
With the nearest neighbours (Å) after each atom.
Sites, in units of the cell vectors:
Y (0.0594, 0.3115, 0.7479)  5 Sn 3.08-3.45
Y (0.1021, 0.4319, 0.3298)  7 Sn 3.08-3.29
Y (0.1021, 0.7723, 0.6702)  7 Sn 3.08-3.29
Y (0.1635, 0.1635, 0.0000)  8 Sn 3.42-3.52
Y (0.2277, 0.8979, 0.3298)  7 Sn 3.08-3.29
Y (0.3115, 0.0594, 0.7479)  5 Sn 3.08-3.45
Y (0.3115, 0.5635, 0.2521)  5 Sn 3.08-3.45
Y (0.3257, 0.3257, 0.6514)  3 Sn 2.94-3.24
Y (0.3257, 0.6743, 0.0000)  3 Sn 2.94-3.24
Y (0.4319, 0.1021, 0.3298)  7 Sn 3.08-3.29
Y (0.4365, 0.6885, 0.7479)  5 Sn 3.08-3.45
Y (0.5635, 0.3115, 0.2521)  5 Sn 3.08-3.45
Y (0.5681, 0.8979, 0.6702)  7 Sn 3.08-3.29
Y (0.6743, 0.3257, 0.0000)  3 Sn 2.94-3.24
Y (0.6743, 0.6743, 0.3486)  3 Sn 2.94-3.24
Y (0.6885, 0.4365, 0.7479)  5 Sn 3.08-3.45
Y (0.6885, 0.9406, 0.2521)  5 Sn 3.08-3.45
Y (0.7723, 0.1021, 0.6702)  7 Sn 3.08-3.29
Y (0.8365, 0.8365, 0.0000)  8 Sn 3.42-3.52
Y (0.8979, 0.2277, 0.3298)  7 Sn 3.08-3.29
Y (0.8979, 0.5681, 0.6702)  7 Sn 3.08-3.29
Y (0.9406, 0.6885, 0.2521)  5 Sn 3.08-3.45
Sn (0.0307, 0.0307, 0.4131)  1 Sn 2.91, 2 Y 3.08
Sn (0.0307, 0.6176, 0.0000)  1 Sn 2.91, 2 Y 3.08
Sn (0.1295, 0.1295, 0.2591)  4 Sn 3.02-3.27, 5 Y 3.24-3.29
Sn (0.1295, 0.8705, 0.0000)  4 Sn 3.02-3.27, 5 Y 3.24-3.29
Sn (0.1437, 0.5000, 0.6437)  6 Y 2.94-3.13
Sn (0.2500, 0.7500, 0.5000)  8 Y 3.08-3.22
Sn (0.3824, 0.3824, 0.4131)  1 Sn 2.91, 2 Y 3.08
Sn (0.3824, 0.9693, 0.0000)  1 Sn 2.91, 2 Y 3.08
Sn (0.3879, 0.3879, 0.0000)  8 Y 3.22-3.46
Sn (0.5000, 0.1437, 0.6437)  6 Y 2.94-3.13
Sn (0.5000, 0.8563, 0.3563)  6 Y 2.94-3.13
Sn (0.6121, 0.6121, 0.0000)  8 Y 3.22-3.46
Sn (0.6176, 0.0307, 0.0000)  1 Sn 2.91, 2 Y 3.08
Sn (0.6176, 0.6176, 0.5869)  1 Sn 2.91, 2 Y 3.08
Sn (0.7500, 0.2500, 0.5000)  8 Y 3.08-3.22
Sn (0.8563, 0.5000, 0.3563)  6 Y 2.94-3.13
Sn (0.8705, 0.1295, 0.0000)  4 Sn 3.02-3.27, 5 Y 3.24-3.29
Sn (0.8705, 0.8705, 0.7409)  4 Sn 3.02-3.27, 5 Y 3.24-3.29
Sn (0.9693, 0.3824, 0.0000)  1 Sn 2.91, 2 Y 3.08
Sn (0.9693, 0.9693, 0.5869)  1 Sn 2.91, 2 Y 3.08

Computed properties:
- final energy (eV/atom) = -6.07


# Y5Sn3

An optimized crystal structure of Y5Sn3 (PBE, the Materials Project).

a = 8.9836 Å, b = 8.9836 Å, c = 6.5834 Å
α = 90.00°, β = 90.00°, γ = 120.00°
With the nearest neighbours (Å) after each atom.
Sites, in units of the cell vectors:
Y (0.0000, 0.2400, 0.2500)  3 Sn 3.09-3.29
Y (0.0000, 0.7600, 0.7500)  3 Sn 3.09-3.29
Y (0.2400, 0.0000, 0.2500)  3 Sn 3.09-3.29
Y (0.2400, 0.2400, 0.7500)  3 Sn 3.09-3.29
Y (0.3333, 0.6667, 0.0000)  6 Sn 3.22, 2 Y 3.29
Y (0.3333, 0.6667, 0.5000)  6 Sn 3.22, 2 Y 3.29
Y (0.6667, 0.3333, 0.0000)  6 Sn 3.22, 2 Y 3.29
Y (0.6667, 0.3333, 0.5000)  6 Sn 3.22, 2 Y 3.29
Y (0.7600, 0.0000, 0.7500)  3 Sn 3.09-3.29
Y (0.7600, 0.7600, 0.2500)  3 Sn 3.09-3.29
Sn (0.0000, 0.3940, 0.7500)  7 Y 3.09-3.29
Sn (0.0000, 0.6060, 0.2500)  7 Y 3.09-3.29
Sn (0.3940, 0.0000, 0.7500)  7 Y 3.09-3.29
Sn (0.3940, 0.3940, 0.2500)  7 Y 3.09-3.29
Sn (0.6060, 0.0000, 0.2500)  7 Y 3.09-3.29
Sn (0.6060, 0.6060, 0.7500)  7 Y 3.09-3.29

Computed properties:
- final energy (eV/atom) = -6.32


# Zr5Sn

An optimized crystal structure of Zr5Sn (PBE, the Materials Project).

a = 5.5665 Å, b = 5.5665 Å, c = 5.1471 Å
α = 90.00°, β = 90.00°, γ = 120.00°
With the nearest neighbours (Å) after each atom.
Sites, in units of the cell vectors:
Zr (0.0000, 0.3231, 0.0000)  10 Zr 3.11-3.26, 2 Sn 3.14
Zr (0.3231, 0.0000, 0.0000)  10 Zr 3.11-3.26, 2 Sn 3.14
Zr (0.3333, 0.6667, 0.5000)  9 Zr 3.19-3.21, 3 Sn 3.21
Zr (0.6667, 0.3333, 0.5000)  9 Zr 3.19-3.21, 3 Sn 3.21
Zr (0.6769, 0.6769, 0.0000)  10 Zr 3.11-3.26, 2 Sn 3.14
Sn (0.0000, 0.0000, 0.5000)  12 Zr 3.14-3.21

Computed properties:
- magnetic moment (μB per atom) = 0.000
- final energy (eV/atom) = -7.98


# Zr5Sn3

An optimized crystal structure of Zr5Sn3 (PBE, the Materials Project).

a = 8.5513 Å, b = 8.5513 Å, c = 5.8124 Å
α = 90.00°, β = 90.00°, γ = 120.00°
With the nearest neighbours (Å) after each atom.
Sites, in units of the cell vectors:
Zr (0.0000, 0.2466, 0.2500)  5 Sn 2.93-3.16
Zr (0.0000, 0.7534, 0.7500)  5 Sn 2.93-3.16
Zr (0.2466, 0.0000, 0.2500)  5 Sn 2.93-3.16
Zr (0.2466, 0.2466, 0.7500)  5 Sn 2.93-3.16
Zr (0.3333, 0.6667, 0.0000)  2 Zr 2.91, 6 Sn 3.01
Zr (0.3333, 0.6667, 0.5000)  2 Zr 2.91, 6 Sn 3.01
Zr (0.6667, 0.3333, 0.0000)  2 Zr 2.91, 6 Sn 3.01
Zr (0.6667, 0.3333, 0.5000)  2 Zr 2.91, 6 Sn 3.01
Zr (0.7534, 0.0000, 0.7500)  5 Sn 2.93-3.16
Zr (0.7534, 0.7534, 0.2500)  5 Sn 2.93-3.16
Sn (0.0000, 0.3918, 0.7500)  9 Zr 2.93-3.16
Sn (0.0000, 0.6082, 0.2500)  9 Zr 2.93-3.16
Sn (0.3918, 0.0000, 0.7500)  9 Zr 2.93-3.16
Sn (0.3918, 0.3918, 0.2500)  9 Zr 2.93-3.16
Sn (0.6082, 0.0000, 0.2500)  9 Zr 2.93-3.16
Sn (0.6082, 0.6082, 0.7500)  9 Zr 2.93-3.16

Computed properties:
- final energy (eV/atom) = -7.41


# Sr3Ta

An optimized crystal structure of Sr3Ta (PBE, the Materials Project).

a = 6.5433 Å, b = 6.5433 Å, c = 6.5433 Å
α = 131.26°, β = 131.26°, γ = 71.40°
With the nearest neighbours (Å) after each atom.
Sites, in units of the cell vectors:
Sr (0.0000, 0.0000, 0.0000)  8 Sr 3.79, 4 Ta 3.82
Sr (0.2500, 0.7500, 0.5000)  4 Ta 3.79, 8 Sr 3.79-3.82
Sr (0.7500, 0.2500, 0.5000)  4 Ta 3.79, 8 Sr 3.79-3.82
Ta (0.5000, 0.5000, 0.0000)  12 Sr 3.79-3.82

Computed properties:
- magnetic moment (μB per atom) = 0.754
- final energy (eV/atom) = -3.33


# Sr3Tb

An optimized crystal structure of Sr3Tb (PBE, the Materials Project).

a = 8.1372 Å, b = 8.1372 Å, c = 6.5358 Å
α = 90.00°, β = 90.00°, γ = 120.00°
With the nearest neighbours (Å) after each atom.
Sites, in units of the cell vectors:
Sr (0.1717, 0.3435, 0.2500)  8 Sr 3.94-4.19, 4 Tb 3.98-4.07
Sr (0.1717, 0.8283, 0.2500)  8 Sr 3.94-4.19, 4 Tb 3.98-4.07
Sr (0.3435, 0.1717, 0.7500)  8 Sr 3.94-4.19, 4 Tb 3.98-4.07
Sr (0.6565, 0.8283, 0.2500)  8 Sr 3.94-4.19, 4 Tb 3.98-4.07
Sr (0.8283, 0.1717, 0.7500)  8 Sr 3.94-4.19, 4 Tb 3.98-4.07
Sr (0.8283, 0.6565, 0.7500)  8 Sr 3.94-4.19, 4 Tb 3.98-4.07
Tb (0.3333, 0.6667, 0.7500)  12 Sr 3.98-4.07
Tb (0.6667, 0.3333, 0.2500)  12 Sr 3.98-4.07

Computed properties:
- magnetic moment (μB per atom) = 0.003
- final energy (eV/atom) = -2.22


# SrTb

An optimized crystal structure of SrTb (PBE, the Materials Project).

a = 3.8153 Å, b = 3.8153 Å, c = 6.3578 Å
α = 90.00°, β = 90.00°, γ = 120.00°
With the nearest neighbours (Å) after each atom.
Sites, in units of the cell vectors:
Sr (0.0000, 0.0000, 0.0000)  6 Sr 3.82, 6 Tb 3.87
Tb (0.6667, 0.3333, 0.5000)  6 Tb 3.82, 6 Sr 3.87

Computed properties:
- magnetic moment (μB per atom) = 0.315
- final energy (eV/atom) = -2.92


# SrTb3

An optimized crystal structure of SrTb3 (PBE, the Materials Project).

a = 6.3927 Å, b = 6.3927 Å, c = 6.3927 Å
α = 131.96°, β = 131.96°, γ = 70.30°
With the nearest neighbours (Å) after each atom.
Sites, in units of the cell vectors:
Sr (0.0000, 0.0000, 0.0000)  12 Tb 3.68-3.69
Tb (0.2500, 0.7500, 0.5000)  8 Tb 3.68-3.69, 4 Sr 3.69
Tb (0.5000, 0.5000, 0.0000)  4 Sr 3.68, 8 Tb 3.69
Tb (0.7500, 0.2500, 0.5000)  8 Tb 3.68-3.69, 4 Sr 3.69

Computed properties:
- magnetic moment (μB per atom) = 0.011
- final energy (eV/atom) = -3.70


# SrTe

An optimized crystal structure of SrTe (PBE, the Materials Project).

a = 4.0879 Å, b = 4.0879 Å, c = 4.0879 Å
α = 90.00°, β = 90.00°, γ = 90.00°
With the nearest neighbours (Å) after each atom.
Sites, in units of the cell vectors:
Sr (0.0000, 0.0000, 0.0000)  8 Te 3.54
Te (0.5000, 0.5000, 0.5000)  8 Sr 3.54

Computed properties:
- magnetic moment (μB per atom) = 0.000
- final energy (eV/atom) = -3.92


# SrTe

An optimized crystal structure of SrTe (PBE, the Materials Project).

a = 4.7547 Å, b = 4.7547 Å, c = 4.7547 Å
α = 60.00°, β = 60.00°, γ = 60.00°
With the nearest neighbours (Å) after each atom.
Sites, in units of the cell vectors:
Sr (0.0000, 0.0000, 0.0000)  6 Te 3.36
Te (0.5000, 0.5000, 0.5000)  6 Sr 3.36

Computed properties:
- final energy (eV/atom) = -4.16


# SrTl3

An optimized crystal structure of SrTl3 (PBE, the Materials Project).

a = 5.0220 Å, b = 5.0220 Å, c = 5.0220 Å
α = 90.00°, β = 90.00°, γ = 90.00°
With the nearest neighbours (Å) after each atom.
Sites, in units of the cell vectors:
Sr (0.0000, 0.0000, 0.0000)  12 Tl 3.55
Tl (0.0000, 0.5000, 0.5000)  8 Tl 3.55, 4 Sr 3.55
Tl (0.5000, 0.0000, 0.5000)  8 Tl 3.55, 4 Sr 3.55
Tl (0.5000, 0.5000, 0.0000)  8 Tl 3.55, 4 Sr 3.55

Computed properties:
- final energy (eV/atom) = -2.46


# SrTl

An optimized crystal structure of SrTl (PBE, the Materials Project).

a = 4.1168 Å, b = 4.1168 Å, c = 4.1168 Å
α = 90.00°, β = 90.00°, γ = 90.00°
With the nearest neighbours (Å) after each atom.
Sites, in units of the cell vectors:
Sr (0.0000, 0.0000, 0.0000)  8 Tl 3.57
Tl (0.5000, 0.5000, 0.5000)  8 Sr 3.57

Computed properties:
- final energy (eV/atom) = -2.46


# SrTl2

An optimized crystal structure of SrTl2 (PBE, the Materials Project).

a = 5.2149 Å, b = 5.2149 Å, c = 8.4353 Å
α = 90.00°, β = 90.00°, γ = 120.00°
With the nearest neighbours (Å) after each atom.
Sites, in units of the cell vectors:
Sr (0.0000, 0.0000, 0.2500)  6 Tl 3.46
Sr (0.0000, 0.0000, 0.7500)  6 Tl 3.46
Tl (0.3333, 0.6667, 0.0489)  4 Tl 3.12-3.39, 3 Sr 3.46
Tl (0.3333, 0.6667, 0.4511)  4 Tl 3.12-3.39, 3 Sr 3.46
Tl (0.6667, 0.3333, 0.5489)  4 Tl 3.12-3.39, 3 Sr 3.46
Tl (0.6667, 0.3333, 0.9511)  4 Tl 3.12-3.39, 3 Sr 3.46

Computed properties:
- final energy (eV/atom) = -2.48


# SrTl3

An optimized crystal structure of SrTl3 (PBE, the Materials Project).

a = 7.2872 Å, b = 7.2872 Å, c = 5.5863 Å
α = 90.00°, β = 90.00°, γ = 120.00°
With the nearest neighbours (Å) after each atom.
Sites, in units of the cell vectors:
Sr (0.3333, 0.6667, 0.2500)  12 Tl 3.54-3.64
Sr (0.6667, 0.3333, 0.7500)  12 Tl 3.54-3.64
Tl (0.1608, 0.3217, 0.7500)  8 Tl 3.45-3.77, 4 Sr 3.54-3.64
Tl (0.1608, 0.8392, 0.7500)  8 Tl 3.45-3.77, 4 Sr 3.54-3.64
Tl (0.3217, 0.1608, 0.2500)  8 Tl 3.45-3.77, 4 Sr 3.54-3.64
Tl (0.6783, 0.8392, 0.7500)  8 Tl 3.45-3.77, 4 Sr 3.54-3.64
Tl (0.8392, 0.1608, 0.2500)  8 Tl 3.45-3.77, 4 Sr 3.54-3.64
Tl (0.8392, 0.6783, 0.2500)  8 Tl 3.45-3.77, 4 Sr 3.54-3.64

Computed properties:
- final energy (eV/atom) = -2.46


# Sr2TlZn

An optimized crystal structure of Sr2TlZn (PBE, the Materials Project).

a = 5.6947 Å, b = 5.6947 Å, c = 5.6947 Å
α = 60.00°, β = 60.00°, γ = 60.00°
With the nearest neighbours (Å) after each atom.
Sites, in units of the cell vectors:
Sr (0.2500, 0.2500, 0.2500)  4 Zn 3.49, 4 Tl 3.49
Sr (0.7500, 0.7500, 0.7500)  4 Tl 3.49, 4 Zn 3.49
Tl (0.0000, 0.0000, 0.0000)  8 Sr 3.49
Zn (0.5000, 0.5000, 0.5000)  8 Sr 3.49

Computed properties:
- final energy (eV/atom) = -2.06


# Sr3U

An optimized crystal structure of Sr3U (PBE, the Materials Project).

a = 6.6678 Å, b = 6.6678 Å, c = 6.6678 Å
α = 60.00°, β = 60.00°, γ = 60.00°
With the nearest neighbours (Å) after each atom.
Sites, in units of the cell vectors:
Sr (0.0000, 0.0000, 0.0000)  8 Sr 4.08
Sr (0.2500, 0.2500, 0.2500)  4 U 4.08, 4 Sr 4.08
Sr (0.7500, 0.7500, 0.7500)  4 U 4.08, 4 Sr 4.08
U (0.5000, 0.5000, 0.5000)  8 Sr 4.08

Computed properties:
- offset from the most stable computed form (eV per atom) = 0.016
- magnetic moment (μB per atom) = 1.010


# Sr3U

An optimized crystal structure of Sr3U (PBE, the Materials Project).

a = 5.6191 Å, b = 5.6191 Å, c = 5.6191 Å
α = 90.00°, β = 90.00°, γ = 90.00°
With the nearest neighbours (Å) after each atom.
Sites, in units of the cell vectors:
Sr (0.0000, 0.0000, 0.5000)  4 U 3.97, 8 Sr 3.97
Sr (0.0000, 0.5000, 0.0000)  4 U 3.97, 8 Sr 3.97
Sr (0.5000, 0.0000, 0.0000)  4 U 3.97, 8 Sr 3.97
U (0.5000, 0.5000, 0.5000)  12 Sr 3.97

Computed properties:
- offset from the most stable computed form (eV per atom) = 0.000
- magnetic moment (μB per atom) = 1.072